(1)
First-principles (r2SCAN) data for crystalline Sr3Co2O6 at its relaxed geometry, as listed in Materials Project.

Cell lengths 6.5116, 6.5221, 6.5405 Å; angles 93.47, 93.55, 93.68 degrees
Fractional coordinates of all 22 atoms:
1 Sr 0.0000 0.0000 0.0000
2 Sr 0.1287 0.8698 0.5013
3 Sr 0.3676 0.3660 0.2630
4 Sr 0.4976 0.2377 0.7632
5 Sr 0.6280 0.7386 0.6332
6 Sr 0.8691 0.4979 0.1312
7 Co 0.2501 0.6213 0.8820
8 Co 0.5023 0.8630 0.1344
9 Co 0.7452 0.1178 0.3810
10 Co 0.9982 0.3688 0.6316
11 O 0.0286 0.2118 0.3550
12 O 0.1549 0.3384 0.9084
13 O 0.2207 0.7147 0.1633
14 O 0.2733 0.5256 0.6003
15 O 0.3381 0.9013 0.8465
16 O 0.4650 0.0301 0.4181
17 O 0.5317 0.5868 0.9728
18 O 0.6542 0.1491 0.1004
19 O 0.7231 0.4002 0.4746
20 O 0.7769 0.8360 0.2882
21 O 0.8414 0.0930 0.6626
22 O 0.9670 0.6446 0.7888

E, eV/f.u.: -132.8
Total magnetization, μB per formula unit: 2.0
Energy of formation, eV per atom: -2.27
Relative energy among the computed polymorphs, meV per atom: 11



(2)
First-principles (r2SCAN) data for crystalline Ni3Pt at its relaxed geometry, as listed in Materials Project.

Cell lengths 3.6297, 3.6297, 7.2068 Å; angles 90.00, 90.00, 90.00 degrees
Fractional coordinates of all 8 atoms:
1 Ni 0.0000 0.0000 0.0000
2 Ni 0.0000 0.5000 0.2500
3 Ni 0.0000 0.5000 0.7500
4 Ni 0.5000 0.0000 0.2500
5 Ni 0.5000 0.0000 0.7500
6 Ni 0.5000 0.5000 0.5000
7 Pt 0.0000 0.0000 0.5000
8 Pt 0.5000 0.5000 0.0000

E, eV/f.u.: -87.8
Total magnetization, μB per formula unit: 2.8
Energy of formation, eV per atom: -0.09



(3)
First-principles (r2SCAN) data for crystalline NdSi2Pd2 at its relaxed geometry, as listed in Materials Project.

Cell lengths 4.2209, 4.2209, 9.9369 Å; angles 90.00, 90.00, 90.00 degrees
Fractional coordinates of all 10 atoms:
1 Nd 0.0000 0.0000 0.0000
2 Nd 0.5000 0.5000 0.5000
3 Si 0.0000 0.0000 0.3806
4 Si 0.0000 0.0000 0.6194
5 Si 0.5000 0.5000 0.1194
6 Si 0.5000 0.5000 0.8806
7 Pd 0.0000 0.5000 0.2500
8 Pd 0.0000 0.5000 0.7500
9 Pd 0.5000 0.0000 0.2500
10 Pd 0.5000 0.0000 0.7500

E, eV/f.u.: -97.7
Total magnetization, μB per formula unit: 0.0
Energy of formation, eV per atom: -0.97



(4)
First-principles (r2SCAN) data for crystalline Li7Mo12S16 at its relaxed geometry, as listed in Materials Project.

Cell lengths 6.6577, 6.6821, 13.3695 Å; angles 95.02, 94.24, 95.13 degrees
Fractional coordinates of all 35 atoms:
1 Li 0.0000 0.0000 0.0000
2 Li 0.9997 0.4044 0.1927
3 Li 0.0731 0.4849 0.9218
4 Li 0.4095 0.3495 0.4929
5 Li 0.5907 0.4039 0.9762
6 Li 0.9387 0.5285 0.4541
7 Li 0.9955 0.4039 0.6814
8 Mo 0.2580 0.7993 0.2576
9 Mo 0.2577 0.8027 0.7563
10 Mo 0.4324 0.9333 0.5998
11 Mo 0.4345 0.9316 0.1020
12 Mo 0.4764 0.1541 0.2796
13 Mo 0.4763 0.1536 0.7771
14 Mo 0.5675 0.6227 0.1902
15 Mo 0.5669 0.6256 0.6876
16 Mo 0.6095 0.8445 0.8649
17 Mo 0.6104 0.8465 0.3678
18 Mo 0.7858 0.9776 0.2127
19 Mo 0.7876 0.9789 0.7093
20 S 0.1529 0.0970 0.1735
21 S 0.1550 0.0972 0.6716
22 S 0.2327 0.6023 0.5886
23 S 0.2383 0.5978 0.0908
24 S 0.3074 0.0075 0.4192
25 S 0.3124 0.0143 0.9192
26 S 0.3947 0.5181 0.8381
27 S 0.3989 0.5202 0.3399
28 S 0.6456 0.2607 0.6266
29 S 0.6473 0.2581 0.1300
30 S 0.7335 0.7617 0.0470
31 S 0.7371 0.7678 0.5488
32 S 0.8044 0.1784 0.3768
33 S 0.8114 0.1818 0.8763
34 S 0.8917 0.6785 0.7946
35 S 0.8920 0.6796 0.2956

E, eV/f.u.: -494.7
Total magnetization, μB per formula unit: 0.0
Energy of formation, eV per atom: -1.04